(1)
The following is a PBE-GGA calculation of crystalline Rb2NaGaF6 at its relaxed geometry, from the Materials Project.

Summary:
* total energy: -4.580 eV/atom
* spin magnetization: 0.00 μB per cell
* calculated formation energy: -3.078 eV per atom

a b c (Å): 8.5691 8.5691 8.5691
angles (deg): 90.00 90.00 90.00
Space group Fm-3m (No. 225)
Unique sites:
Rb 0.2500 0.2500 0.2500 [8 per cell]
Na 0.0000 0.0000 0.0000 [4 per cell]
Ga 0.0000 0.0000 0.5000 [4 per cell]
F 0.0000 0.0000 0.2738 [24 per cell]



(2)
The following is a PBE-GGA calculation of crystalline RbNa2GaF6 at its relaxed geometry, from the Materials Project.

Summary:
* total energy: -4.358 eV/atom
* spin magnetization: 0.00 μB per cell
* calculated formation energy: -2.821 eV per atom

a b c (Å): 9.0057 9.0057 9.0057
angles (deg): 90.00 90.00 90.00
Space group Fm-3m (No. 225)
Unique sites:
Rb 0.0000 0.0000 0.0000 [4 per cell]
Na 0.2500 0.2500 0.2500 [8 per cell]
Ga 0.0000 0.0000 0.5000 [4 per cell]
F 0.0000 0.0000 0.2871 [24 per cell]



(3)
The following is a PBE-GGA calculation of crystalline NaSrGaF6 at its relaxed geometry, from the Materials Project.

Summary:
* total energy: -5.073 eV/atom
* spin magnetization: 0.00 μB per cell
* calculated formation energy: -3.433 eV per atom

a b c (Å): 5.4469 9.3770 10.4826
angles (deg): 90.00 90.00 90.00
Space group P2_12_12_1 (No. 19)
Unique sites:
Na 0.0438 0.1464 0.0830 [4 per cell]
Sr 0.0055 0.6855 0.8225 [4 per cell]
Ga 0.0368 0.5009 0.1263 [4 per cell]
F 0.1374 0.9957 0.5321 [4 per cell]
F 0.1554 0.8398 0.3180 [4 per cell]
F 0.2085 0.1208 0.2969 [4 per cell]
F 0.2135 0.6410 0.5866 [4 per cell]
F 0.2168 0.6577 0.0489 [4 per cell]
F 0.2177 0.5217 0.2828 [4 per cell]



(4)
The following is a PBE-GGA calculation of crystalline Na2TlGaF6 at its relaxed geometry, from the Materials Project.

Summary:
* total energy: -4.303 eV/atom
* spin magnetization: 0.00 μB per cell
* calculated formation energy: -2.628 eV per atom

a b c (Å): 8.9924 8.9924 8.9924
angles (deg): 90.00 90.00 90.00
Space group Fm-3m (No. 225)
Unique sites:
Na 0.2500 0.2500 0.2500 [8 per cell]
Tl 0.0000 0.0000 0.0000 [4 per cell]
Ga 0.0000 0.0000 0.5000 [4 per cell]
F 0.0000 0.0000 0.2865 [24 per cell]



(5)
The following is a PBE-GGA calculation of crystalline Na3U6GaF30 at its relaxed geometry, from the Materials Project.

Summary:
* total energy: -6.697 eV/atom
* spin magnetization: 24.00 μB per cell
* calculated formation energy: -3.739 eV per atom

a b c (Å): 9.9007 9.9007 13.0189
angles (deg): 90.00 90.00 120.00
Space group P-3c1 (No. 165)
Unique sites:
Na 0.0000 0.0000 0.0000 [2 per cell]
Na 0.3333 0.6667 0.1640 [4 per cell]
U 0.0760 0.4005 0.3984 [12 per cell]
Ga 0.0000 0.0000 0.2500 [2 per cell]
F 0.0820 0.1796 0.3371 [12 per cell]
F 0.1137 0.3070 0.0179 [12 per cell]
F 0.1195 0.5319 0.5509 [12 per cell]
F 0.1306 0.4328 0.2153 [12 per cell]
F 0.1711 0.5122 0.8618 [12 per cell]



(6)
The following is a PBE-GGA calculation of crystalline Na2ZnGaF7 at its relaxed geometry, from the Materials Project.

Summary:
* total energy: -4.460 eV/atom
* spin magnetization: 0.00 μB per cell
* calculated formation energy: -2.905 eV per atom

a b c (Å): 12.7102 7.4250 24.7861
angles (deg): 90.00 99.46 90.00
Space group C2/c (No. 15)
Unique sites:
Na 0.0000 0.0000 0.0000 [4 per cell]
Na 0.0000 0.2124 0.2500 [4 per cell]
Na 0.0000 0.5000 0.0000 [4 per cell]
Na 0.1262 0.0084 0.8782 [8 per cell]
Na 0.2475 0.4519 0.2498 [8 per cell]
Na 0.2500 0.2500 0.0000 [4 per cell]
Zn 0.1223 0.4914 0.3722 [8 per cell]
Zn 0.1264 0.2613 0.6258 [8 per cell]
Ga 0.0000 0.2486 0.7500 [4 per cell]
Ga 0.1263 0.2368 0.1252 [8 per cell]
Ga 0.2500 0.2500 0.5000 [4 per cell]
F 0.0137 0.2852 0.3587 [8 per cell]
F 0.0262 0.3308 0.9015 [8 per cell]
F 0.0716 0.0025 0.6091 [8 per cell]
F 0.0800 0.4428 0.7904 [8 per cell]
F 0.0812 0.0609 0.7905 [8 per cell]
F 0.0889 0.2760 0.0469 [8 per cell]
F 0.1112 0.2526 0.7065 [8 per cell]
F 0.1421 0.2764 0.5451 [8 per cell]
F 0.1632 0.4157 0.4532 [8 per cell]
F 0.1652 0.1924 0.2032 [8 per cell]
F 0.1705 0.0398 0.4683 [8 per cell]
F 0.1791 0.4777 0.1406 [8 per cell]
F 0.2218 0.3131 0.3451 [8 per cell]
F 0.2329 0.3077 0.8901 [8 per cell]



(7)
The following is a PBE-GGA calculation of crystalline Ga12OF36 at its relaxed geometry, from the Materials Project.

Summary:
* total energy: -4.714 eV/atom
* spin magnetization: 4.00 μB per cell
* calculated formation energy: -2.819 eV per atom

a b c (Å): 7.3303 14.9886 12.6210
angles (deg): 90.00 90.00 90.00
Space group Imm2 (No. 44)
Unique sites:
Ga 0.0000 0.1250 0.0000 [4 per cell]
Ga 0.0000 0.3749 0.0000 [4 per cell]
Ga 0.2500 0.1249 0.2500 [8 per cell]
Ga 0.2502 0.1255 0.7502 [8 per cell]
O 0.0000 0.0000 0.5536 [2 per cell]
F 0.0000 0.0000 0.0350 [2 per cell]
F 0.0000 0.1040 0.2885 [4 per cell]
F 0.0000 0.1471 0.7133 [4 per cell]
F 0.0000 0.2499 0.9650 [4 per cell]
F 0.0000 0.3541 0.7115 [4 per cell]
F 0.0000 0.3959 0.2885 [4 per cell]
F 0.0000 0.5000 0.0350 [2 per cell]
F 0.1854 0.1051 0.8954 [8 per cell]
F 0.1852 0.1449 0.1047 [8 per cell]
F 0.1847 0.3549 0.1049 [8 per cell]
F 0.1851 0.3950 0.8954 [8 per cell]
F 0.2174 0.2497 0.2794 [8 per cell]
F 0.2178 0.5000 0.7209 [4 per cell]
F 0.2187 0.0000 0.7217 [4 per cell]



(8)
The following is a PBE-GGA calculation of crystalline GaPbF5 at its relaxed geometry, from the Materials Project.

Summary:
* total energy: -4.832 eV/atom
* spin magnetization: 0.01 μB per cell
* calculated formation energy: -2.831 eV per atom

a b c (Å): 14.7534 14.7534 7.5105
angles (deg): 90.00 90.00 90.00
Space group I4 (No. 79)
Unique sites:
Ga 0.0000 0.0000 0.0000 [2 per cell]
Ga 0.0000 0.0000 0.4975 [2 per cell]
Ga 0.0000 0.5000 0.2435 [4 per cell]
Ga 0.1665 0.6838 0.2372 [8 per cell]
Pb 0.0486 0.7733 0.7277 [8 per cell]
Pb 0.0679 0.2423 0.2307 [8 per cell]
F 0.0000 0.0000 0.2483 [2 per cell]
F 0.0000 0.0000 0.7500 [2 per cell]
F 0.0000 0.5000 0.4923 [4 per cell]
F 0.0440 0.1215 0.9953 [8 per cell]
F 0.0470 0.1205 0.5045 [8 per cell]
F 0.0480 0.6192 0.2465 [8 per cell]
F 0.0645 0.6137 0.7389 [8 per cell]
F 0.0936 0.2925 0.5702 [8 per cell]
F 0.1010 0.2895 0.9143 [8 per cell]
F 0.1044 0.7582 0.4102 [8 per cell]
F 0.1046 0.7533 0.0593 [8 per cell]
F 0.2298 0.7396 0.7307 [8 per cell]



Repeat the first record exactly.
The following is a PBE-GGA calculation of crystalline Rb2NaGaF6 at its relaxed geometry, from the Materials Project.

Summary:
* total energy: -4.580 eV/atom
* spin magnetization: 0.00 μB per cell
* calculated formation energy: -3.078 eV per atom

a b c (Å): 8.5691 8.5691 8.5691
angles (deg): 90.00 90.00 90.00
Space group Fm-3m (No. 225)
Unique sites:
Rb 0.2500 0.2500 0.2500 [8 per cell]
Na 0.0000 0.0000 0.0000 [4 per cell]
Ga 0.0000 0.0000 0.5000 [4 per cell]
F 0.0000 0.0000 0.2738 [24 per cell]



- What is the total energy in the first record?
  -4.580 eV/atom



- Which formula does entry 3 have?
  NaSrGaF6



- Which value of spin magnetization does entry 3 give?
  0.00 μB per cell